(1)
# Na10Ca3Ti5Si6S6O48 (PBE, relaxed)
data_Na10Ca3Ti5Si6S6O48
_cell_length_a 9.106
_cell_length_b 15.758
_cell_length_c 22.457
_cell_angle_alpha 90.60
_cell_angle_beta 90.39
_cell_angle_gamma 90.12
_space_group_name_H-M_alt 'P 1'
_space_group_IT_number 1
loop_
_space_group_symop_operation_xyz
'x,y,z'
loop_
_atom_site_label
_atom_site_type_symbol
_atom_site_fract_x
_atom_site_fract_y
_atom_site_fract_z
Na1 Na 0.000 0.000 0.000
Na2 Na 0.004 0.337 0.676
Na3 Na 0.119 0.500 0.495
Na4 Na 0.138 0.870 0.496
Na5 Na 0.153 0.528 0.828
Na6 Na 0.174 0.507 0.162
Na7 Na 0.176 0.847 0.828
Na8 Na 0.193 0.177 0.508
Na9 Na 0.317 0.686 0.744
Na10 Na 0.320 0.341 0.089
Na11 Na 0.321 0.341 0.590
Na12 Na 0.322 0.026 0.413
Na13 Na 0.331 0.685 0.250
Na14 Na 0.348 0.024 0.919
Na15 Na 0.470 0.842 0.327
Na16 Na 0.483 0.872 0.007
Na17 Na 0.616 0.999 0.494
Na18 Na 0.623 0.686 0.829
Na19 Na 0.638 0.374 0.494
Na20 Na 0.665 0.346 0.833
Na21 Na 0.668 0.005 0.173
Na22 Na 0.685 0.675 0.499
Na23 Na 0.804 0.847 0.090
Na24 Na 0.812 0.516 0.920
Na25 Na 0.815 0.520 0.415
Na26 Na 0.816 0.846 0.587
Na27 Na 0.828 0.173 0.751
Na28 Na 0.840 0.185 0.253
Na29 Na 0.950 0.681 0.996
Na30 Na 0.995 0.374 0.008
Ca1 Ca 0.302 0.342 0.238
Ca2 Ca 0.316 0.016 0.064
Ca3 Ca 0.316 0.353 0.732
Ca4 Ca 0.320 0.018 0.565
Ca5 Ca 0.808 0.518 0.065
Ca6 Ca 0.808 0.844 0.735
Ca7 Ca 0.808 0.847 0.238
Ca8 Ca 0.816 0.181 0.896
Ca9 Ca 0.816 0.519 0.561
Ti1 Ti 0.298 0.692 0.101
Ti2 Ti 0.304 0.685 0.896
Ti3 Ti 0.309 0.365 0.931
Ti4 Ti 0.311 0.336 0.441
Ti5 Ti 0.314 0.685 0.592
Ti6 Ti 0.315 0.021 0.763
Ti7 Ti 0.321 0.679 0.399
Ti8 Ti 0.333 0.015 0.274
Ti9 Ti 0.795 0.836 0.430
Ti10 Ti 0.802 0.855 0.935
Ti11 Ti 0.808 0.509 0.268
Ti12 Ti 0.812 0.184 0.394
Ti13 Ti 0.816 0.180 0.104
Ti14 Ti 0.818 0.522 0.778
Ti15 Ti 0.825 0.190 0.601
Si1 Si 0.013 0.352 0.828
Si2 Si 0.028 0.692 0.494
Si3 Si 0.153 0.828 0.995
Si4 Si 0.156 0.165 0.659
Si5 Si 0.161 0.194 0.334
Si6 Si 0.180 0.540 0.998
Si7 Si 0.446 0.534 0.497
Si8 Si 0.457 0.863 0.164
Si9 Si 0.465 0.504 0.833
Si10 Si 0.465 0.824 0.495
Si11 Si 0.509 0.854 0.834
Si12 Si 0.536 0.186 0.498
Si13 Si 0.655 0.690 0.330
Si14 Si 0.671 0.000 0.332
Si15 Si 0.673 0.033 0.998
Si16 Si 0.958 0.365 0.160
Si17 Si 0.964 0.323 0.497
Si18 Si 0.964 0.707 0.836
S1 S 0.014 0.023 0.164
S2 S 0.108 0.193 0.002
S3 S 0.112 0.526 0.667
S4 S 0.119 0.850 0.336
S5 S 0.157 0.502 0.334
S6 S 0.174 0.864 0.665
S7 S 0.448 0.198 0.833
S8 S 0.475 0.163 0.167
S9 S 0.516 0.522 0.170
S10 S 0.597 0.690 0.997
S11 S 0.614 0.022 0.666
S12 S 0.620 0.352 0.335
S13 S 0.651 0.662 0.666
S14 S 0.652 0.326 0.999
S15 S 0.677 0.366 0.665
S16 S 0.945 0.039 0.498
S17 S 0.973 0.663 0.166
S18 S 0.973 0.996 0.832
O1 O 0.001 0.530 0.993
O2 O 0.003 0.202 0.053
O3 O 0.012 0.528 0.720
O4 O 0.015 0.854 0.668
O5 O 0.022 0.858 0.389
O6 O 0.024 0.517 0.612
O7 O 0.027 0.185 0.945
O8 O 0.035 0.839 0.281
O9 O 0.087 0.019 0.105
O10 O 0.097 0.343 0.767
O11 O 0.107 0.025 0.500
O12 O 0.117 0.031 0.214
O13 O 0.134 0.361 0.168
O14 O 0.136 0.367 0.886
O15 O 0.136 0.676 0.847
O16 O 0.139 0.706 0.555
O17 O 0.140 0.996 0.829
O18 O 0.141 0.659 0.165
O19 O 0.141 0.683 0.439
O20 O 0.147 0.328 0.493
O21 O 0.162 0.251 0.277
O22 O 0.191 0.447 0.386
O23 O 0.198 0.273 0.001
O24 O 0.199 0.117 0.008
O25 O 0.199 0.607 0.667
O26 O 0.201 0.767 0.055
O27 O 0.203 0.125 0.597
O28 O 0.208 0.451 0.668
O29 O 0.210 0.907 0.609
O30 O 0.214 0.590 0.342
O31 O 0.214 0.929 0.335
O32 O 0.215 0.261 0.665
O33 O 0.217 0.923 0.994
O34 O 0.218 0.098 0.716
O35 O 0.221 0.470 0.278
O36 O 0.223 0.777 0.341
O37 O 0.227 0.773 0.942
O38 O 0.233 0.914 0.718
O39 O 0.237 0.596 0.943
O40 O 0.239 0.585 0.061
O41 O 0.247 0.101 0.324
O42 O 0.249 0.248 0.392
O43 O 0.252 0.441 0.989
O44 O 0.252 0.780 0.666
O45 O 0.364 0.442 0.489
O46 O 0.370 0.473 0.778
O47 O 0.371 0.585 0.556
O48 O 0.371 0.768 0.159
O49 O 0.376 0.111 0.827
O50 O 0.385 0.241 0.886
O51 O 0.390 0.922 0.224
O52 O 0.392 0.917 0.496
O53 O 0.396 0.774 0.849
O54 O 0.404 0.775 0.437
O55 O 0.408 0.597 0.442
O56 O 0.408 0.939 0.821
O57 O 0.414 0.128 0.112
O58 O 0.419 0.602 0.848
O59 O 0.420 0.447 0.176
O60 O 0.423 0.912 0.103
O61 O 0.426 0.106 0.496
O62 O 0.426 0.248 0.779
O63 O 0.427 0.601 0.171
O64 O 0.430 0.251 0.175
O65 O 0.433 0.762 0.554
O66 O 0.434 0.432 0.888
O67 O 0.435 0.276 0.493
O68 O 0.437 0.107 0.220
O69 O 0.477 0.678 0.342
O70 O 0.484 0.000 0.329
O71 O 0.487 0.329 0.998
O72 O 0.487 0.666 0.667
O73 O 0.500 0.024 0.716
O74 O 0.500 0.694 0.051
O75 O 0.501 0.014 0.001
O76 O 0.513 0.684 0.942
O77 O 0.519 0.351 0.668
O78 O 0.527 0.363 0.389
O79 O 0.533 0.341 0.281
O80 O 0.540 0.011 0.608
O81 O 0.599 0.516 0.114
O82 O 0.605 0.817 0.781
O83 O 0.608 0.186 0.839
O84 O 0.622 0.524 0.498
O85 O 0.624 0.526 0.222
O86 O 0.628 0.869 0.893
O87 O 0.633 0.855 0.168
O88 O 0.643 0.160 0.165
O89 O 0.644 0.180 0.442
O90 O 0.645 0.197 0.558
O91 O 0.648 0.503 0.825
O92 O 0.648 0.833 0.492
O93 O 0.659 0.759 0.280
O94 O 0.685 0.771 0.998
O95 O 0.692 0.105 0.669
O96 O 0.699 0.620 0.611
O97 O 0.700 0.612 0.720
O98 O 0.701 0.273 0.050
O99 O 0.702 0.618 0.999
O100 O 0.707 0.926 0.386
O101 O 0.710 0.294 0.942
O102 O 0.711 0.411 0.610
O103 O 0.712 0.414 0.005
O104 O 0.714 0.951 0.674
O105 O 0.715 0.431 0.331
O106 O 0.716 0.748 0.667
O107 O 0.721 0.081 0.941
O108 O 0.722 0.278 0.341
O109 O 0.725 0.095 0.349
O110 O 0.733 0.973 0.269
O111 O 0.735 0.414 0.719
O112 O 0.735 0.741 0.392
O113 O 0.742 0.600 0.322
O114 O 0.748 0.087 0.059
O115 O 0.760 0.283 0.665
O116 O 0.763 0.937 0.996
O117 O 0.870 0.955 0.495
O118 O 0.872 0.271 0.156
O119 O 0.873 0.750 0.892
O120 O 0.875 0.614 0.823
O121 O 0.880 0.425 0.218
O122 O 0.886 0.283 0.835
O123 O 0.889 0.083 0.553
O124 O 0.892 0.269 0.444
O125 O 0.898 0.417 0.498
O126 O 0.913 0.950 0.168
O127 O 0.913 0.956 0.779
O128 O 0.915 0.090 0.445
O129 O 0.920 0.105 0.164
O130 O 0.920 0.632 0.107
O131 O 0.922 0.083 0.836
O132 O 0.922 0.611 0.497
O133 O 0.924 0.449 0.825
O134 O 0.925 0.750 0.174
O135 O 0.927 0.605 0.214
O136 O 0.928 0.781 0.490
O137 O 0.933 0.416 0.099
O138 O 0.936 0.267 0.560
O139 O 0.937 0.943 0.887
O140 O 0.969 0.167 0.661
O141 O 0.974 0.767 0.781
O142 O 0.974 0.827 0.992
O143 O 0.988 0.177 0.351
O144 O 0.991 0.508 0.328
# * calculated formation energy: -2.6849 eV per atom
# * raw total energy: -6.80 eV/atom

=====

(2)
# CuP4Se4I (PBE, relaxed)
data_CuP4Se4I
_cell_length_a 9.835
_cell_length_b 9.835
_cell_length_c 12.609
_cell_angle_alpha 90.00
_cell_angle_beta 90.00
_cell_angle_gamma 81.25
_space_group_name_H-M_alt 'P 1'
_space_group_IT_number 1
loop_
_space_group_symop_operation_xyz
'x,y,z'
loop_
_atom_site_label
_atom_site_type_symbol
_atom_site_fract_x
_atom_site_fract_y
_atom_site_fract_z
Cu1 Cu 0.099 0.099 0.000
Cu2 Cu 0.401 0.401 0.500
Cu3 Cu 0.599 0.599 0.500
Cu4 Cu 0.901 0.901 0.000
P1 P 0.036 0.746 0.745
P2 P 0.144 0.221 0.145
P3 P 0.221 0.144 0.855
P4 P 0.246 0.536 0.245
P5 P 0.254 0.964 0.745
P6 P 0.279 0.356 0.355
P7 P 0.356 0.279 0.645
P8 P 0.464 0.754 0.245
P9 P 0.536 0.246 0.755
P10 P 0.644 0.721 0.355
P11 P 0.721 0.644 0.645
P12 P 0.746 0.036 0.255
P13 P 0.754 0.464 0.755
P14 P 0.779 0.856 0.145
P15 P 0.856 0.779 0.855
P16 P 0.964 0.254 0.255
Se1 Se 0.030 0.970 0.691
Se2 Se 0.054 0.352 0.400
Se3 Se 0.148 0.446 0.100
Se4 Se 0.167 0.333 0.750
Se5 Se 0.333 0.167 0.250
Se6 Se 0.352 0.054 0.600
Se7 Se 0.446 0.148 0.900
Se8 Se 0.470 0.530 0.191
Se9 Se 0.530 0.470 0.809
Se10 Se 0.554 0.852 0.100
Se11 Se 0.648 0.946 0.400
Se12 Se 0.667 0.833 0.750
Se13 Se 0.833 0.667 0.250
Se14 Se 0.852 0.554 0.900
Se15 Se 0.946 0.648 0.600
Se16 Se 0.970 0.030 0.309
I1 I 0.170 0.830 0.024
I2 I 0.330 0.670 0.524
I3 I 0.670 0.330 0.476
I4 I 0.830 0.170 0.976
# * calculated formation energy: -0.1829 eV per atom
# * raw total energy: -4.27 eV/atom

=====

(3)
# Ce5Rh4 (PBE, relaxed)
data_Ce5Rh4
_cell_length_a 7.356
_cell_length_b 15.076
_cell_length_c 7.516
_cell_angle_alpha 90.00
_cell_angle_beta 90.00
_cell_angle_gamma 90.00
_space_group_name_H-M_alt 'P 1'
_space_group_IT_number 1
loop_
_space_group_symop_operation_xyz
'x,y,z'
loop_
_atom_site_label
_atom_site_type_symbol
_atom_site_fract_x
_atom_site_fract_y
_atom_site_fract_z
Ce1 Ce 0.012 0.091 0.179
Ce2 Ce 0.012 0.409 0.179
Ce3 Ce 0.165 0.122 0.665
Ce4 Ce 0.165 0.378 0.665
Ce5 Ce 0.178 0.750 0.526
Ce6 Ce 0.322 0.250 0.026
Ce7 Ce 0.335 0.622 0.165
Ce8 Ce 0.335 0.878 0.165
Ce9 Ce 0.488 0.591 0.679
Ce10 Ce 0.488 0.909 0.679
Ce11 Ce 0.512 0.091 0.321
Ce12 Ce 0.512 0.409 0.321
Ce13 Ce 0.665 0.122 0.835
Ce14 Ce 0.665 0.378 0.835
Ce15 Ce 0.678 0.750 0.974
Ce16 Ce 0.822 0.250 0.474
Ce17 Ce 0.835 0.622 0.335
Ce18 Ce 0.835 0.878 0.335
Ce19 Ce 0.988 0.591 0.821
Ce20 Ce 0.988 0.909 0.821
Rh1 Rh 0.028 0.750 0.122
Rh2 Rh 0.187 0.539 0.466
Rh3 Rh 0.187 0.961 0.466
Rh4 Rh 0.193 0.250 0.359
Rh5 Rh 0.307 0.750 0.859
Rh6 Rh 0.313 0.039 0.966
Rh7 Rh 0.313 0.461 0.966
Rh8 Rh 0.472 0.250 0.622
Rh9 Rh 0.528 0.750 0.378
Rh10 Rh 0.687 0.539 0.034
Rh11 Rh 0.687 0.961 0.034
Rh12 Rh 0.693 0.250 0.141
Rh13 Rh 0.807 0.750 0.641
Rh14 Rh 0.813 0.039 0.534
Rh15 Rh 0.813 0.461 0.534
Rh16 Rh 0.972 0.250 0.878
# * calculated formation energy: -0.6622 eV per atom
# * raw total energy: -7.23 eV/atom

=====

(4)
# Pr2TeO6 (PBE, relaxed)
data_Pr2TeO6
_cell_length_a 5.517
_cell_length_b 9.472
_cell_length_c 10.395
_cell_angle_alpha 90.00
_cell_angle_beta 90.00
_cell_angle_gamma 90.00
_space_group_name_H-M_alt 'P 1'
_space_group_IT_number 1
loop_
_space_group_symop_operation_xyz
'x,y,z'
loop_
_atom_site_label
_atom_site_type_symbol
_atom_site_fract_x
_atom_site_fract_y
_atom_site_fract_z
Pr1 Pr 0.026 0.104 0.040
Pr2 Pr 0.032 0.217 0.637
Pr3 Pr 0.468 0.783 0.137
Pr4 Pr 0.474 0.896 0.540
Pr5 Pr 0.526 0.396 0.960
Pr6 Pr 0.532 0.283 0.363
Pr7 Pr 0.968 0.717 0.863
Pr8 Pr 0.974 0.604 0.460
Te1 Te 0.042 0.496 0.145
Te2 Te 0.458 0.504 0.645
Te3 Te 0.542 0.004 0.855
Te4 Te 0.958 0.996 0.355
O1 O 0.071 0.851 0.474
O2 O 0.169 0.949 0.213
O3 O 0.181 0.636 0.258
O4 O 0.194 0.638 0.677
O5 O 0.218 0.112 0.435
O6 O 0.249 0.586 0.011
O7 O 0.251 0.414 0.511
O8 O 0.282 0.888 0.935
O9 O 0.306 0.362 0.177
O10 O 0.319 0.364 0.758
O11 O 0.331 0.051 0.713
O12 O 0.429 0.149 0.974
O13 O 0.571 0.649 0.526
O14 O 0.669 0.551 0.787
O15 O 0.681 0.864 0.742
O16 O 0.694 0.862 0.323
O17 O 0.718 0.388 0.565
O18 O 0.749 0.914 0.989
O19 O 0.751 0.086 0.489
O20 O 0.782 0.612 0.065
O21 O 0.806 0.138 0.823
O22 O 0.819 0.136 0.242
O23 O 0.831 0.449 0.287
O24 O 0.929 0.351 0.026
# * calculated formation energy: -2.9302 eV per atom
# * raw total energy: -7.18 eV/atom

=====

(5)
# CaLaAg2 (PBE, relaxed)
data_CaLaAg2
_cell_length_a 5.343
_cell_length_b 5.343
_cell_length_c 5.343
_cell_angle_alpha 60.00
_cell_angle_beta 60.00
_cell_angle_gamma 60.00
_space_group_name_H-M_alt 'P 1'
_space_group_IT_number 1
loop_
_space_group_symop_operation_xyz
'x,y,z'
loop_
_atom_site_label
_atom_site_type_symbol
_atom_site_fract_x
_atom_site_fract_y
_atom_site_fract_z
Ca1 Ca 0.000 0.000 0.000
La1 La 0.500 0.500 0.500
Ag1 Ag 0.250 0.250 0.250
Ag2 Ag 0.750 0.750 0.750
# * calculated formation energy: -0.3244 eV per atom
# * raw total energy: -3.48 eV/atom

=====

(6)
# Zr3NbAl12 (PBE, relaxed)
data_Zr3NbAl12
_cell_length_a 3.981
_cell_length_b 3.981
_cell_length_c 17.193
_cell_angle_alpha 90.00
_cell_angle_beta 90.00
_cell_angle_gamma 90.00
_space_group_name_H-M_alt 'P 1'
_space_group_IT_number 1
loop_
_space_group_symop_operation_xyz
'x,y,z'
loop_
_atom_site_label
_atom_site_type_symbol
_atom_site_fract_x
_atom_site_fract_y
_atom_site_fract_z
Zr1 Zr 0.000 0.000 0.000
Zr2 Zr 0.000 0.000 0.242
Zr3 Zr 0.500 0.500 0.735
Nb1 Nb 0.500 0.500 0.500
Al1 Al 0.000 0.000 0.493
Al2 Al 0.000 0.000 0.743
Al3 Al 0.000 0.500 0.120
Al4 Al 0.000 0.500 0.373
Al5 Al 0.000 0.500 0.616
Al6 Al 0.000 0.500 0.868
Al7 Al 0.500 0.000 0.120
Al8 Al 0.500 0.000 0.373
Al9 Al 0.500 0.000 0.616
Al10 Al 0.500 0.000 0.868
Al11 Al 0.500 0.500 0.243
Al12 Al 0.500 0.500 0.994
# * calculated formation energy: -0.4460 eV per atom
# * raw total energy: -5.49 eV/atom

=====

- Look up the raw total energy of the fourth one.
  -7.18 eV/atom

=====

- The highest calculated formation energy belongs to which entry?
  CuP4Se4I

=====

- The highest raw total energy belongs to which entry?
  CaLaAg2